Density functional theory data (GGA-PBE) for Ba10MgAs6Cl2O24 after structural relaxation.

- crystal system = monoclinic
- E_tot (eV/atom) = -6.2051
- total energy after the MP2020 corrections (Ry per atom) = -0.4842
- energy relative to the elements (meV per atom) = -2607
- spin magnetization (μB/cell) = 0.00
- ΔE to the lowest computed polymorph (eV/atom) = 0.051

Cell lengths 11.1615, 10.7458, 7.7862 Å; angles 90.00, 90.00, 116.77 degrees
Positions (direct):
O  0.6454  0.8895  0.2500
O  0.6118  0.7219  0.5680
O  0.2388  0.8963  0.5766
O  0.2388  0.8963  0.9234
O  0.6118  0.7219  0.9320
O  0.5919  0.4732  0.2500
O  0.0607  0.5628  0.7500
O  0.7512  0.1252  0.0638
O  0.0763  0.3498  0.5724
O  0.3630  0.5159  0.2500
O  0.6315  0.5017  0.7500
O  0.3643  0.2810  0.4283
O  0.9148  0.6359  0.0701
O  0.8472  0.3931  0.2500
O  0.8298  0.3021  0.7500
O  0.4367  0.8567  0.7500
O  0.4523  0.1303  0.7500
O  0.0763  0.3498  0.9276
O  0.3462  0.7744  0.2500
O  0.3643  0.2810  0.0717
O  0.7512  0.1252  0.4362
O  0.3869  0.5288  0.7500
O  0.5376  0.1102  0.2500
O  0.9148  0.6359  0.4299
Mg  0.4881  0.7198  0.2500
Ba  0.7938  0.7519  0.2500
Ba  0.2626  0.6391  0.5202
Ba  0.9903  0.2456  0.2500
Ba  0.2783  0.9870  0.2500
Ba  0.6633  0.3347  0.5023
Ba  0.7117  0.9849  0.7500
Ba  0.2626  0.6391  0.9798
Ba  0.2539  0.2518  0.7500
Ba  0.6633  0.3347  0.9977
Ba  0.9805  0.7529  0.7500
As  0.3478  0.9536  0.7500
As  0.4178  0.3859  0.2500
As  0.5617  0.6166  0.7500
As  0.6626  0.0571  0.2500
As  0.9700  0.5702  0.2500
As  0.0019  0.3832  0.7500
Cl  0.9917  0.0009  0.9974
Cl  0.9917  0.0009  0.5026



Density functional theory data (GGA-PBE) for Ba5As3ClO12 after structural relaxation.

- crystal system = hexagonal
- E_tot (eV/atom) = -6.3585
- total energy after the MP2020 corrections (Ry per atom) = -0.4962
- energy relative to the elements (meV per atom) = -2713
- spin magnetization (μB/cell) = 0.00

Cell lengths 10.7934, 10.7934, 7.8325 Å; angles 90.00, 90.00, 120.00 degrees
Positions (direct):
O  0.4823  0.1493  0.7500
O  0.4084  0.5310  0.7500
O  0.6444  0.7374  0.5729
O  0.6670  0.5177  0.7500
O  0.3556  0.2626  0.4271
O  0.3556  0.2626  0.0729
O  0.8774  0.4084  0.2500
O  0.2626  0.9070  0.9271
O  0.9070  0.6444  0.4271
O  0.8507  0.3330  0.7500
O  0.2626  0.9070  0.5729
O  0.5177  0.8507  0.2500
O  0.9070  0.6444  0.0729
O  0.6444  0.7374  0.9271
O  0.7374  0.0930  0.0729
O  0.4690  0.8774  0.7500
O  0.1493  0.6670  0.2500
O  0.5916  0.4690  0.2500
O  0.1226  0.5916  0.7500
O  0.0930  0.3556  0.9271
O  0.3330  0.4823  0.2500
O  0.0930  0.3556  0.5729
O  0.5310  0.1226  0.2500
O  0.7374  0.0930  0.4271
Ba  0.2488  0.9945  0.2500
Ba  0.3333  0.6667  0.0015
Ba  0.7458  0.7512  0.2500
Ba  0.6667  0.3333  0.9985
Ba  0.3333  0.6667  0.4985
Ba  0.2542  0.2488  0.7500
Ba  0.6667  0.3333  0.5015
Ba  0.7512  0.0055  0.7500
Ba  0.9945  0.7458  0.7500
Ba  0.0055  0.2542  0.2500
Cl  0.0000  0.0000  0.5000
Cl  0.0000  0.0000  0.0000
As  0.0340  0.4062  0.7500
As  0.6278  0.0340  0.2500
As  0.3722  0.9660  0.7500
As  0.4062  0.3722  0.2500
As  0.9660  0.5938  0.2500
As  0.5938  0.6278  0.7500



Density functional theory data (GGA-PBE) for Ba3Sr2As3ClO12 after structural relaxation.

- crystal system = hexagonal
- E_tot (eV/atom) = -6.3428
- total energy after the MP2020 corrections (Ry per atom) = -0.4950
- energy relative to the elements (meV per atom) = -2719
- spin magnetization (μB/cell) = 0.00

Cell lengths 10.5822, 10.5822, 7.6852 Å; angles 90.00, 90.00, 120.00 degrees
Positions (direct):
O  0.1518  0.5022  0.7500
O  0.5337  0.3976  0.7500
O  0.9118  0.2684  0.5705
O  0.7316  0.6435  0.9295
O  0.3976  0.8638  0.2500
O  0.8482  0.4978  0.2500
O  0.1362  0.5337  0.2500
O  0.0882  0.7316  0.0705
O  0.6496  0.1518  0.2500
O  0.6024  0.1362  0.7500
O  0.4663  0.6024  0.2500
O  0.4978  0.6496  0.7500
O  0.3504  0.8482  0.7500
O  0.5022  0.3504  0.2500
O  0.6435  0.9118  0.0705
O  0.7316  0.6435  0.5705
O  0.3565  0.0882  0.5705
O  0.9118  0.2684  0.9295
O  0.8638  0.4663  0.7500
O  0.3565  0.0882  0.9295
O  0.0882  0.7316  0.4295
O  0.2684  0.3565  0.0705
O  0.6435  0.9118  0.4295
O  0.2684  0.3565  0.4295
Ba  0.9892  0.2469  0.2500
Ba  0.2469  0.2577  0.7500
Ba  0.2577  0.0108  0.2500
Ba  0.7423  0.9892  0.7500
Ba  0.0108  0.7531  0.7500
Ba  0.7531  0.7423  0.2500
Cl  0.0000  0.0000  0.5000
Cl  0.0000  0.0000  0.0000
As  0.0336  0.6202  0.2500
As  0.9664  0.3798  0.7500
As  0.5866  0.9664  0.2500
As  0.6202  0.5866  0.7500
As  0.3798  0.4134  0.2500
As  0.4134  0.0336  0.7500
Sr  0.6667  0.3333  0.4999
Sr  0.3333  0.6667  0.5001
Sr  0.3333  0.6667  0.9999
Sr  0.6667  0.3333  0.0001



What is the total energy after the MP2020 corrections in the second record? -0.4962 Ry per atom